Here is an optimized crystal structure of RbP4W8O32 from the Materials Project database. Energies are from PBE+U.

POSCAR file:
```
RbP4W8O32
1.0
-3.734 -6.192 -6.285
3.868 -7.064 -5.189
-1.707 -9.312 4.430
Rb P W O
1 4 8 32
Direct
0.500 0.500 0.000 Rb
0.621 0.023 0.116 P
0.379 0.977 0.884 P
0.977 0.379 0.884 P
0.023 0.621 0.116 P
0.618 0.120 0.411 W
0.382 0.880 0.589 W
0.880 0.382 0.589 W
0.120 0.618 0.411 W
0.358 0.859 0.240 W
0.642 0.141 0.760 W
0.141 0.642 0.760 W
0.859 0.358 0.240 W
0.610 0.120 0.213 O
0.390 0.880 0.787 O
0.880 0.390 0.787 O
0.120 0.610 0.213 O
0.804 0.804 0.134 O
0.196 0.196 0.866 O
0.456 0.018 0.152 O
0.544 0.982 0.848 O
0.982 0.544 0.848 O
0.018 0.456 0.152 O
0.622 0.622 0.219 O
0.378 0.378 0.781 O
0.630 0.630 0.600 O
0.370 0.370 0.400 O
0.891 0.891 0.760 O
0.109 0.109 0.240 O
0.370 0.861 0.418 O
0.630 0.139 0.582 O
0.139 0.630 0.582 O
0.861 0.370 0.418 O
0.358 0.877 0.033 O
0.642 0.123 0.967 O
0.123 0.642 0.967 O
0.877 0.358 0.033 O
0.734 0.255 0.304 O
0.266 0.745 0.696 O
0.745 0.266 0.696 O
0.255 0.734 0.304 O
0.500 0.000 0.500 O
0.000 0.500 0.500 O
0.873 0.873 0.399 O
0.127 0.127 0.601 O
```

Values from the calculation:
E ... -7.388 eV/atom
M_tot ... 4.999 μB/cell
Energy with MP2020 corrections ... -8.666 eV/atom
ΔH_f (0 K) ... -53.98 kcal/mol of atoms

Here is an optimized crystal structure of P3RhW2O15 from the Materials Project database. Energies are from PBE+U.

POSCAR file:
```
P3RhW2O15
1.0
-6.960 6.115 2.626
8.843 7.553 5.849
0.799 3.088 -19.681
P Rh W O
24 8 16 120
Direct
0.916 0.423 0.266 P
0.584 0.156 0.734 P
0.084 0.577 0.734 P
0.416 0.844 0.266 P
0.937 0.909 0.274 P
0.563 0.634 0.726 P
0.063 0.091 0.726 P
0.437 0.366 0.274 P
0.550 0.141 0.230 P
0.950 0.910 0.770 P
0.450 0.859 0.770 P
0.050 0.090 0.230 P
0.737 0.935 0.508 P
0.763 0.427 0.492 P
0.263 0.065 0.492 P
0.237 0.573 0.508 P
0.089 0.582 0.229 P
0.411 0.353 0.771 P
0.911 0.418 0.771 P
0.589 0.647 0.229 P
0.750 0.929 0.000 P
0.250 0.071 0.000 P
0.750 0.431 0.000 P
0.250 0.569 0.000 P
0.503 0.257 0.490 Rh
0.997 0.767 0.510 Rh
0.497 0.743 0.510 Rh
0.003 0.233 0.490 Rh
0.497 0.246 0.989 Rh
0.003 0.257 0.011 Rh
0.503 0.754 0.011 Rh
0.997 0.743 0.989 Rh
0.799 0.196 0.619 W
0.701 0.577 0.381 W
0.201 0.804 0.381 W
0.299 0.423 0.619 W
0.785 0.188 0.124 W
0.715 0.064 0.876 W
0.215 0.812 0.876 W
0.285 0.936 0.124 W
0.817 0.686 0.123 W
0.683 0.563 0.877 W
0.183 0.314 0.877 W
0.317 0.437 0.123 W
0.193 0.323 0.372 W
0.307 0.951 0.628 W
0.807 0.677 0.628 W
0.693 0.049 0.372 W
0.883 0.900 0.535 O
0.617 0.366 0.465 O
0.117 0.100 0.465 O
0.383 0.634 0.535 O
0.504 0.255 0.278 O
0.996 0.977 0.722 O
0.496 0.745 0.722 O
0.004 0.023 0.278 O
0.614 0.357 0.968 O
0.886 0.389 0.032 O
0.386 0.643 0.032 O
0.114 0.611 0.968 O
0.120 0.655 0.309 O
0.380 0.345 0.691 O
0.880 0.345 0.691 O
0.620 0.655 0.309 O
0.002 0.473 0.222 O
0.498 0.251 0.778 O
0.998 0.527 0.778 O
0.502 0.749 0.222 O
0.719 0.043 0.570 O
0.781 0.473 0.430 O
0.281 0.957 0.430 O
0.219 0.527 0.570 O
0.022 0.381 0.316 O
0.478 0.064 0.684 O
0.978 0.619 0.684 O
0.522 0.936 0.316 O
0.765 0.472 0.935 O
0.735 0.537 0.065 O
0.235 0.528 0.065 O
0.265 0.463 0.935 O
0.895 0.835 0.194 O
0.605 0.641 0.806 O
0.105 0.165 0.806 O
0.395 0.359 0.194 O
0.889 0.880 0.021 O
0.611 0.859 0.979 O
0.111 0.120 0.979 O
0.389 0.141 0.021 O
0.819 0.331 0.206 O
0.681 0.125 0.794 O
0.181 0.669 0.794 O
0.319 0.875 0.206 O
0.807 0.932 0.308 O
0.693 0.624 0.692 O
0.193 0.068 0.692 O
0.307 0.376 0.308 O
0.995 0.632 0.179 O
0.505 0.453 0.821 O
0.005 0.368 0.821 O
0.495 0.547 0.179 O
0.227 0.543 0.205 O
0.273 0.338 0.795 O
0.773 0.457 0.795 O
0.727 0.662 0.205 O
0.648 0.099 0.285 O
0.852 0.815 0.715 O
0.352 0.901 0.715 O
0.148 0.185 0.285 O
0.055 0.861 0.315 O
0.445 0.546 0.685 O
0.945 0.139 0.685 O
0.555 0.454 0.315 O
0.828 0.509 0.306 O
0.672 0.203 0.694 O
0.172 0.491 0.694 O
0.328 0.797 0.306 O
0.737 0.967 0.439 O
0.763 0.528 0.561 O
0.263 0.033 0.561 O
0.237 0.472 0.439 O
0.743 0.034 0.065 O
0.757 0.969 0.935 O
0.257 0.966 0.935 O
0.243 0.031 0.065 O
0.627 0.159 0.176 O
0.873 0.983 0.824 O
0.373 0.841 0.824 O
0.127 0.017 0.176 O
0.609 0.855 0.486 O
0.891 0.368 0.514 O
0.391 0.145 0.514 O
0.109 0.632 0.486 O
0.413 0.068 0.197 O
0.087 0.871 0.803 O
0.587 0.932 0.803 O
0.913 0.129 0.197 O
0.658 0.249 0.569 O
0.842 0.680 0.431 O
0.342 0.751 0.431 O
0.158 0.320 0.569 O
0.924 0.696 0.061 O
0.576 0.635 0.939 O
0.076 0.304 0.939 O
0.424 0.365 0.061 O
0.926 0.189 0.563 O
0.574 0.626 0.437 O
0.074 0.811 0.437 O
0.426 0.374 0.563 O
0.350 0.271 0.411 O
0.150 0.860 0.589 O
0.650 0.729 0.589 O
0.850 0.140 0.411 O
0.074 0.284 0.419 O
0.426 0.865 0.581 O
0.926 0.716 0.581 O
0.574 0.135 0.419 O
0.935 0.210 0.086 O
0.565 0.124 0.914 O
0.065 0.790 0.914 O
0.435 0.876 0.086 O
0.660 0.743 0.089 O
0.840 0.654 0.911 O
0.340 0.257 0.911 O
0.160 0.346 0.089 O
0.654 0.235 0.066 O
0.846 0.170 0.934 O
0.346 0.765 0.934 O
0.154 0.830 0.066 O
```

Values from the calculation:
E ... -7.261 eV/atom
M_tot ... 0.000 μB/cell
Energy with MP2020 corrections ... -8.174 eV/atom
ΔH_f (0 K) ... -52.62 kcal/mol of atoms

Here is an optimized crystal structure of VSb3P6O24 from the Materials Project database. Energies are from PBE+U.

POSCAR file:
```
VSb3P6O24
1.0
-7.723 -4.014 -1.903
-1.743 -8.326 2.647
-6.056 -1.757 6.293
V Sb P O
1 3 6 24
Direct
0.142 0.142 0.142 V
0.857 0.857 0.857 Sb
0.643 0.643 0.643 Sb
0.356 0.356 0.356 Sb
0.535 0.962 0.249 P
0.249 0.535 0.962 P
0.962 0.249 0.535 P
0.039 0.750 0.461 P
0.750 0.461 0.039 P
0.461 0.039 0.750 P
0.489 0.867 0.720 O
0.867 0.720 0.489 O
0.721 0.938 0.078 O
0.720 0.489 0.867 O
0.564 0.781 0.423 O
0.368 0.991 0.222 O
0.078 0.721 0.938 O
0.423 0.564 0.781 O
0.781 0.423 0.564 O
0.014 0.768 0.638 O
0.061 0.920 0.286 O
0.768 0.638 0.014 O
0.222 0.368 0.991 O
0.938 0.078 0.721 O
0.991 0.222 0.368 O
0.217 0.571 0.445 O
0.571 0.445 0.217 O
0.920 0.286 0.061 O
0.638 0.014 0.768 O
0.445 0.217 0.571 O
0.276 0.518 0.131 O
0.286 0.061 0.920 O
0.131 0.276 0.518 O
0.518 0.131 0.276 O
```

Values from the calculation:
E ... -6.940 eV/atom
M_tot ... 1.939 μB/cell
Energy with MP2020 corrections ... -7.475 eV/atom
ΔH_f (0 K) ... -55.24 kcal/mol of atoms

Here is an optimized crystal structure of V5SbP6O24 from the Materials Project database. Energies are from PBE+U.

POSCAR file:
```
V5SbP6O24
1.0
-3.088 -7.847 -1.763
0.250 -6.038 6.140
-7.380 -2.484 3.686
V Sb P O
5 1 6 24
Direct
0.000 0.000 0.000 V
0.355 0.355 0.355 V
0.499 0.499 0.499 V
0.144 0.144 0.144 V
0.643 0.643 0.643 V
0.850 0.850 0.850 Sb
0.441 0.748 0.053 P
0.748 0.053 0.441 P
0.053 0.441 0.748 P
0.957 0.539 0.258 P
0.258 0.957 0.539 P
0.539 0.258 0.957 P
0.686 0.890 0.500 O
0.890 0.500 0.686 O
0.500 0.686 0.890 O
0.243 0.903 0.067 O
0.580 0.819 0.040 O
0.421 0.588 0.249 O
0.903 0.067 0.243 O
0.588 0.249 0.421 O
0.998 0.390 0.184 O
0.249 0.421 0.588 O
0.952 0.738 0.107 O
0.184 0.998 0.390 O
0.819 0.040 0.580 O
0.067 0.243 0.903 O
0.759 0.558 0.410 O
0.040 0.580 0.819 O
0.410 0.759 0.558 O
0.107 0.952 0.738 O
0.558 0.410 0.759 O
0.390 0.184 0.998 O
0.738 0.107 0.952 O
0.485 0.336 0.110 O
0.110 0.485 0.336 O
0.336 0.110 0.485 O
```

Values from the calculation:
E ... -7.427 eV/atom
M_tot ... 9.999 μB/cell
Energy with MP2020 corrections ... -8.121 eV/atom
ΔH_f (0 K) ... -58.67 kcal/mol of atoms

Here is an optimized crystal structure of VSbP2O8 from the Materials Project database. Energies are from PBE+U.

POSCAR file:
```
VSbP2O8
1.0
-0.336 0.000 5.055
10.976 0.000 -0.695
0.000 5.940 0.000
V Sb P O
2 2 4 16
Direct
0.566 0.798 0.250 V
0.434 0.202 0.750 V
0.968 0.272 0.250 Sb
0.032 0.728 0.750 Sb
0.398 0.076 0.250 P
0.602 0.924 0.750 P
0.907 0.378 0.750 P
0.093 0.622 0.250 P
0.665 0.062 0.750 O
0.335 0.938 0.250 O
0.704 0.114 0.250 O
0.296 0.886 0.750 O
0.180 0.333 0.750 O
0.820 0.667 0.250 O
0.088 0.485 0.250 O
0.912 0.515 0.750 O
0.272 0.137 0.042 O
0.272 0.137 0.458 O
0.728 0.863 0.542 O
0.728 0.863 0.958 O
0.730 0.313 0.951 O
0.730 0.313 0.549 O
0.270 0.687 0.049 O
0.270 0.687 0.451 O
```

Values from the calculation:
E ... -7.167 eV/atom
M_tot ... 0.072 μB/cell
Energy with MP2020 corrections ... -7.766 eV/atom
ΔH_f (0 K) ... -56.83 kcal/mol of atoms

Here is an optimized crystal structure of V2SbP3O12 from the Materials Project database. Energies are from PBE+U.

POSCAR file:
```
V2SbP3O12
1.0
-2.520 7.501 -4.019
1.034 1.101 -8.745
-6.986 0.161 -5.472
V Sb P O
4 2 6 24
Direct
0.146 0.146 0.146 V
0.354 0.354 0.354 V
0.646 0.646 0.646 V
0.854 0.854 0.854 V
0.000 0.000 0.000 Sb
0.500 0.500 0.500 Sb
0.461 0.750 0.039 P
0.750 0.039 0.461 P
0.039 0.461 0.750 P
0.961 0.539 0.250 P
0.250 0.961 0.539 P
0.539 0.250 0.961 P
0.508 0.302 0.116 O
0.116 0.508 0.302 O
0.268 0.916 0.061 O
0.302 0.116 0.508 O
0.616 0.802 0.008 O
0.439 0.584 0.232 O
0.916 0.061 0.268 O
0.584 0.232 0.439 O
0.992 0.384 0.198 O
0.232 0.439 0.584 O
0.939 0.732 0.084 O
0.198 0.992 0.384 O
0.802 0.008 0.616 O
0.061 0.268 0.916 O
0.768 0.561 0.416 O
0.008 0.616 0.802 O
0.416 0.768 0.561 O
0.084 0.939 0.732 O
0.561 0.416 0.768 O
0.384 0.198 0.992 O
0.698 0.884 0.492 O
0.732 0.084 0.939 O
0.884 0.492 0.698 O
0.492 0.698 0.884 O
```

Values from the calculation:
E ... -7.293 eV/atom
M_tot ... 8.000 μB/cell
Energy with MP2020 corrections ... -7.940 eV/atom
ΔH_f (0 K) ... -57.66 kcal/mol of atoms

Here is an optimized crystal structure of Sb3P6WO24 from the Materials Project database. Energies are from PBE+U.

POSCAR file:
```
Sb3P6WO24
1.0
-8.188 -1.247 3.941
-5.311 -7.234 -1.892
-1.554 -6.680 6.090
Sb P W O
3 6 1 24
Direct
0.140 0.140 0.140 Sb
0.358 0.358 0.358 Sb
0.645 0.645 0.645 Sb
0.478 0.727 0.042 P
0.727 0.042 0.478 P
0.042 0.478 0.727 P
0.954 0.546 0.255 P
0.255 0.954 0.546 P
0.546 0.255 0.954 P
0.855 0.855 0.855 W
0.541 0.261 0.120 O
0.120 0.541 0.261 O
0.298 0.884 0.071 O
0.261 0.120 0.541 O
0.491 0.548 0.212 O
0.642 0.778 0.992 O
0.884 0.071 0.298 O
0.548 0.212 0.491 O
0.212 0.491 0.548 O
0.968 0.374 0.256 O
0.928 0.710 0.067 O
0.256 0.968 0.374 O
0.778 0.992 0.642 O
0.071 0.298 0.884 O
0.992 0.642 0.778 O
0.766 0.614 0.403 O
0.403 0.766 0.614 O
0.067 0.928 0.710 O
0.374 0.256 0.968 O
0.614 0.403 0.766 O
0.684 0.882 0.512 O
0.710 0.067 0.928 O
0.882 0.512 0.684 O
0.512 0.684 0.882 O
```

Values from the calculation:
E ... -6.922 eV/atom
M_tot ... 1.006 μB/cell
Energy with MP2020 corrections ... -7.538 eV/atom
ΔH_f (0 K) ... -54.06 kcal/mol of atoms